# 1
The following is a PBE calculation of a geometry-optimized NaTiP2O7 structure, from the Materials Project.

Formation energy = -2839.6 meV per atom
SG = P2_1/c

Geometry as POSCAR:
```
NaTiP2O7
1.0
-2.648 -4.448 -1.200
6.003 -4.751 4.362
-2.290 -2.180 13.132
O Na Ti P
28 4 4 8
Direct
0.944 0.307 0.588
0.781 0.839 0.763
0.487 0.748 0.653
0.097 0.295 0.037
0.756 0.019 0.558
0.903 0.705 0.963
0.226 0.479 0.129
0.513 0.252 0.347
0.256 0.981 0.942
0.987 0.252 0.847
0.013 0.748 0.153
0.219 0.161 0.237
0.744 0.019 0.058
0.056 0.693 0.412
0.719 0.839 0.263
0.597 0.705 0.463
0.040 0.274 0.366
0.460 0.274 0.866
0.281 0.161 0.737
0.774 0.521 0.871
0.403 0.295 0.537
0.244 0.981 0.442
0.960 0.726 0.634
0.540 0.726 0.134
0.274 0.479 0.629
0.556 0.307 0.088
0.726 0.521 0.371
0.444 0.693 0.912
0.270 0.554 0.310
0.730 0.446 0.690
0.770 0.446 0.190
0.230 0.554 0.810
0.764 0.263 0.971
0.236 0.737 0.029
0.736 0.263 0.471
0.264 0.737 0.529
0.755 0.833 0.145
0.745 0.833 0.645
0.255 0.167 0.355
0.722 0.683 0.885
0.245 0.167 0.855
0.278 0.317 0.115
0.778 0.683 0.385
0.222 0.317 0.615
```



# 2
The following is a PBE calculation of a geometry-optimized NaTiPO5 structure, from the Materials Project.

Formation energy = -2983.7 meV per atom
SG = Pnma
Distance to the lowest polymorph of the same formula = 17.3 meV/atom

Geometry as POSCAR:
```
NaTiPO5
1.0
-2.975 -5.412 -2.176
5.854 -1.424 -4.461
3.352 -4.142 5.720
O Na P Ti
20 4 4 4
Direct
0.059 0.365 0.224
0.559 0.135 0.724
0.059 0.865 0.276
0.941 0.135 0.724
0.250 0.054 0.493
0.250 0.714 0.521
0.750 0.446 0.993
0.441 0.865 0.276
0.250 0.892 0.829
0.559 0.635 0.776
0.441 0.365 0.224
0.750 0.286 0.479
0.750 0.786 0.021
0.750 0.108 0.171
0.250 0.392 0.671
0.750 0.946 0.507
0.750 0.608 0.329
0.250 0.554 0.007
0.250 0.214 0.979
0.941 0.635 0.776
0.000 0.000 0.000
0.500 0.000 0.000
0.000 0.500 0.500
0.500 0.500 0.500
0.750 0.125 0.608
0.250 0.875 0.392
0.250 0.375 0.108
0.750 0.625 0.892
0.750 0.335 0.215
0.250 0.665 0.785
0.250 0.165 0.715
0.750 0.835 0.285
```



# 3
The following is a PBE calculation of a geometry-optimized Na5Y3TiP6O24 structure, from the Materials Project.

Formation energy = -3053.0 meV per atom
SG = P1

Geometry as POSCAR:
```
Na5Y3TiP6O24
1.0
9.173 -0.002 0.003
-4.588 7.939 0.006
0.008 0.022 23.237
O P Ti Na Y
72 18 3 15 9
Direct
0.650 0.114 0.138
0.196 0.994 0.908
0.677 0.148 0.747
0.363 0.865 0.865
0.523 0.686 0.255
0.513 0.145 0.922
0.199 0.178 0.079
0.879 0.354 0.639
0.681 0.520 0.531
0.650 0.534 0.639
0.191 0.970 0.196
0.832 0.316 0.531
0.837 0.799 0.583
0.976 0.184 0.299
0.508 0.350 0.429
0.881 0.527 0.137
0.357 0.865 0.574
0.680 0.163 0.029
0.125 0.491 0.576
0.534 0.907 0.364
0.198 0.021 0.581
0.130 0.678 0.472
0.549 0.679 0.973
0.521 0.862 0.076
0.832 0.513 0.029
0.633 0.488 0.924
0.651 0.159 0.429
0.813 0.006 0.415
0.957 0.166 0.584
0.040 0.801 0.695
0.163 0.478 0.255
0.846 0.322 0.245
0.521 0.659 0.577
0.213 0.025 0.303
0.321 0.454 0.467
0.841 0.492 0.430
0.189 0.238 0.700
0.192 0.185 0.414
0.504 0.637 0.865
0.476 0.117 0.634
0.799 0.804 0.909
0.836 0.038 0.080
0.028 0.223 0.192
0.360 0.493 0.075
0.476 0.154 0.246
0.092 0.626 0.364
0.319 0.868 0.971
0.214 0.198 0.805
0.995 0.808 0.415
0.814 0.021 0.801
0.548 0.870 0.472
0.855 0.366 0.924
0.957 0.790 0.079
0.481 0.347 0.748
0.778 0.804 0.192
0.762 0.953 0.696
0.678 0.523 0.245
0.470 0.355 0.136
0.974 0.788 0.801
0.316 0.837 0.256
0.816 0.791 0.299
0.484 0.322 0.028
0.856 0.520 0.747
0.132 0.498 0.865
0.375 0.461 0.360
0.130 0.450 0.974
0.125 0.633 0.075
0.312 0.491 0.763
0.006 0.201 0.909
0.478 0.158 0.527
0.168 0.680 0.764
0.517 0.826 0.764
0.376 0.043 0.579
0.637 0.983 0.420
0.692 0.989 0.752
0.378 0.334 0.078
0.951 0.618 0.079
0.346 0.361 0.418
0.622 0.654 0.917
0.032 0.378 0.918
0.298 0.996 0.251
0.668 0.044 0.079
0.011 0.701 0.752
0.669 0.625 0.582
0.699 0.702 0.248
0.017 0.654 0.421
0.003 0.301 0.248
0.299 0.314 0.755
0.951 0.332 0.582
0.347 0.971 0.917
0.666 0.334 0.977
0.333 0.675 0.822
0.664 0.333 0.481
0.010 0.000 0.995
0.999 0.638 0.254
0.656 0.323 0.836
0.663 0.698 0.080
0.334 0.666 0.667
0.639 0.000 0.254
0.034 0.334 0.079
0.663 0.966 0.580
0.033 0.698 0.580
0.001 0.361 0.751
0.667 0.334 0.344
0.641 0.642 0.751
0.362 0.363 0.255
0.333 0.678 0.167
0.011 0.011 0.496
0.655 0.326 0.684
0.662 0.329 0.181
0.332 0.657 0.515
0.008 0.999 0.145
0.001 0.000 0.853
0.333 0.674 0.014
0.998 0.998 0.356
0.012 0.009 0.650
0.333 0.666 0.328
```



# 4
The following is a PBE calculation of a geometry-optimized Na3TiZnP3O12 structure, from the Materials Project.

Formation energy = -2692.4 meV per atom
SG = Cc

Geometry as POSCAR:
```
Na3TiZnP3O12
1.0
8.920 -0.006 -0.005
-4.465 7.734 0.000
-0.012 -0.007 21.833
O Na Ti P Zn
72 18 6 18 6
Direct
0.298 0.474 0.755
0.022 0.189 0.199
0.359 0.493 0.361
0.467 0.165 0.528
0.842 0.032 0.088
0.819 0.789 0.305
0.169 0.199 0.695
0.517 0.659 0.577
0.349 0.488 0.078
0.151 0.456 0.972
0.840 0.310 0.529
0.635 0.516 0.641
0.852 0.521 0.746
0.359 0.867 0.861
0.522 0.697 0.255
0.985 0.783 0.813
0.966 0.155 0.586
0.215 0.025 0.310
0.313 0.858 0.976
0.852 0.332 0.246
0.179 0.703 0.752
0.694 0.161 0.027
0.014 0.193 0.909
0.794 0.971 0.691
0.014 0.821 0.409
0.860 0.371 0.921
0.631 0.142 0.420
0.191 0.035 0.589
0.476 0.357 0.143
0.298 0.824 0.255
0.476 0.119 0.643
0.185 0.992 0.912
0.129 0.635 0.358
0.819 0.030 0.805
0.349 0.861 0.578
0.672 0.525 0.244
0.500 0.857 0.365
0.672 0.148 0.744
0.635 0.119 0.141
0.473 0.317 0.744
0.631 0.490 0.920
0.179 0.475 0.252
0.473 0.156 0.244
0.129 0.494 0.858
0.509 0.362 0.421
0.313 0.455 0.476
0.694 0.533 0.527
0.169 0.970 0.195
0.966 0.810 0.086
0.552 0.686 0.980
0.794 0.823 0.191
0.842 0.810 0.588
0.881 0.532 0.144
0.191 0.156 0.089
0.985 0.202 0.313
0.552 0.866 0.480
0.860 0.489 0.421
0.813 0.815 0.912
0.522 0.825 0.755
0.185 0.193 0.412
0.151 0.695 0.472
0.840 0.530 0.029
0.881 0.348 0.644
0.500 0.643 0.865
0.022 0.833 0.699
0.509 0.147 0.921
0.146 0.666 0.079
0.467 0.302 0.028
0.517 0.858 0.077
0.813 0.997 0.412
0.215 0.190 0.810
0.146 0.480 0.579
0.309 0.963 0.080
0.986 0.631 0.247
0.657 0.964 0.580
0.372 0.361 0.247
0.977 0.296 0.413
0.329 0.662 0.161
0.977 0.681 0.913
0.372 0.010 0.747
0.329 0.666 0.661
0.987 0.015 0.994
0.986 0.356 0.747
0.667 0.330 0.328
0.323 0.027 0.414
0.309 0.345 0.580
0.657 0.693 0.080
0.667 0.337 0.828
0.323 0.295 0.914
0.987 0.972 0.494
0.671 0.345 0.482
0.342 0.673 0.315
0.998 0.993 0.649
0.998 0.005 0.149
0.671 0.326 0.982
0.342 0.669 0.815
0.960 0.330 0.585
0.704 0.994 0.750
0.341 0.377 0.418
0.003 0.297 0.254
0.038 0.664 0.416
0.628 0.963 0.421
0.003 0.706 0.754
0.371 0.041 0.585
0.038 0.374 0.916
0.293 0.997 0.252
0.341 0.964 0.918
0.704 0.710 0.250
0.960 0.630 0.085
0.371 0.330 0.085
0.293 0.296 0.752
0.672 0.630 0.585
0.672 0.042 0.085
0.628 0.665 0.921
0.669 0.328 0.182
0.992 0.994 0.348
0.992 0.998 0.848
0.669 0.341 0.682
0.328 0.668 0.515
0.328 0.660 0.015
```



Among the records above, which one has the highest formation energy? Na3TiZnP3O12



Which of these has the lowest formation energy? Na5Y3TiP6O24



Among the records above, which one has the lowest formation energy? Na5Y3TiP6O24



Which value of formation energy does entry 2 give? -2983.7 meV per atom